No. 1
Here is a relaxed structure of SmP5O14 from the Materials Project database. Energies are from PBE-GGA.

Cell and atoms, written as CIF:
```
data_SmP5O14
_symmetry_space_group_name_H-M 'P 1 21/c 1'
_symmetry_Int_Tables_number 14
_symmetry_space_group_name_Hall '-P 2ybc'
_cell_length_a 8.887
_cell_length_b 9.113
_cell_length_c 13.113
_cell_angle_alpha 90.00
_cell_angle_beta 90.30
_cell_angle_gamma 90.00
loop_
_atom_site_label
_atom_site_fract_x
_atom_site_fract_y
_atom_site_fract_z
Sm1 0.224 0.188 0.001
P1 0.005 0.503 0.701
P2 0.184 0.746 0.500
P3 0.257 0.546 0.165
P4 0.268 0.549 0.836
P5 0.496 0.002 0.827
O1 0.029 0.690 0.997
O2 0.086 0.116 0.853
O3 0.088 0.115 0.148
O4 0.098 0.578 0.214
O5 0.120 0.593 0.775
O6 0.213 0.585 0.500
O7 0.268 0.096 0.386
O8 0.274 0.095 0.611
O9 0.279 0.688 0.097
O10 0.288 0.685 0.909
O11 0.374 0.580 0.252
O12 0.401 0.582 0.760
O13 0.418 0.116 0.121
O14 0.420 0.121 0.884
```

## Properties
- volume (Å³/cell) = 1062.0


No. 2
Here is a relaxed structure of SmZnPO from the Materials Project database. Energies are from PBE-GGA.

Cell and atoms, written as CIF:
```
data_SmZnPO
_symmetry_space_group_name_H-M 'R -3 m'
_symmetry_Int_Tables_number 166
_symmetry_space_group_name_Hall '-R 3 2"'
_cell_length_a 3.9641
_cell_length_b 3.9641
_cell_length_c 30.8849
_cell_angle_alpha 90.00
_cell_angle_beta 90.00
_cell_angle_gamma 120.00
loop_
_atom_site_label
_atom_site_fract_x
_atom_site_fract_y
_atom_site_fract_z
Sm1 0.0000 0.0000 0.1193
Zn1 0.0000 0.0000 0.3037
P1 0.0000 0.0000 0.3868
O1 0.0000 0.0000 0.1948
```

## Properties
- volume (Å³/cell) = 420.3
- magnetization (μB per formula unit) = 0.00


No. 3
Here is a relaxed structure of Sn2P2O7 from the Materials Project database. Energies are from PBE-GGA.

Cell and atoms, written as CIF:
```
data_Sn2P2O7
_symmetry_space_group_name_H-M 'P -1'
_symmetry_Int_Tables_number 2
_symmetry_space_group_name_Hall '-P 1'
_cell_length_a 5.391
_cell_length_b 11.770
_cell_length_c 11.881
_cell_angle_alpha 102.18
_cell_angle_beta 99.14
_cell_angle_gamma 98.74
loop_
_atom_site_label
_atom_site_fract_x
_atom_site_fract_y
_atom_site_fract_z
Sn1 0.169 0.349 0.476
Sn2 0.228 0.864 0.968
Sn3 0.269 0.999 0.643
Sn4 0.315 0.556 0.132
P1 0.175 0.220 0.851
P2 0.205 0.769 0.355
P3 0.287 0.616 0.754
P4 0.313 0.173 0.244
O1 0.045 0.770 0.083
O2 0.081 0.251 0.725
O3 0.113 0.583 0.631
O4 0.148 0.756 0.475
O5 0.149 0.181 0.339
O6 0.157 0.125 0.119
O7 0.174 0.691 0.846
O8 0.242 0.097 0.821
O9 0.339 0.671 0.302
O10 0.344 0.894 0.361
O11 0.353 0.504 0.787
O12 0.412 0.316 0.913
O13 0.439 0.312 0.257
O14 0.466 0.893 0.738
```

## Properties
- volume (Å³/cell) = 713.9
- excess energy over the best structure of this formula in the dataset (meV per atom) = 0


No. 4
Here is a relaxed structure of Sn5P2O10 from the Materials Project database. Energies are from PBE-GGA.

Cell and atoms, written as CIF:
```
data_Sn5P2O10
_symmetry_space_group_name_H-M 'P -1'
_symmetry_Int_Tables_number 2
_symmetry_space_group_name_Hall '-P 1'
_cell_length_a 7.290
_cell_length_b 7.323
_cell_length_c 13.236
_cell_angle_alpha 87.92
_cell_angle_beta 86.08
_cell_angle_gamma 61.82
loop_
_atom_site_label
_atom_site_fract_x
_atom_site_fract_y
_atom_site_fract_z
Sn1 0.006 0.303 0.332
Sn2 0.068 0.761 0.369
Sn3 0.193 0.197 0.879
Sn4 0.326 0.695 0.124
Sn5 0.437 0.784 0.640
P1 0.062 0.802 0.896
P2 0.471 0.243 0.623
O1 0.068 0.701 0.213
O2 0.083 0.706 0.006
O3 0.108 0.626 0.820
O4 0.108 0.913 0.646
O5 0.168 0.028 0.112
O6 0.223 0.882 0.878
O7 0.312 0.477 0.613
O8 0.354 0.122 0.667
O9 0.356 0.784 0.305
O10 0.415 0.847 0.481
```

## Properties
- volume (Å³/cell) = 621.4


No. 5
Here is a relaxed structure of Sn8P2O13 from the Materials Project database. Energies are from PBE-GGA.

Cell and atoms, written as CIF:
```
data_Sn8P2O13
_symmetry_space_group_name_H-M 'C 1 2/m 1'
_symmetry_Int_Tables_number 12
_symmetry_space_group_name_Hall '-C 2y'
_cell_length_a 10.527
_cell_length_b 10.171
_cell_length_c 14.341
_cell_angle_alpha 90.00
_cell_angle_beta 98.00
_cell_angle_gamma 90.00
loop_
_atom_site_label
_atom_site_fract_x
_atom_site_fract_y
_atom_site_fract_z
Sn1 0.074 0.000 0.194
Sn2 0.074 0.500 0.216
Sn3 0.084 0.246 0.404
Sn4 0.172 0.500 0.609
Sn5 0.188 0.264 0.794
Sn6 0.237 0.500 0.988
P1 0.000 0.253 0.000
P2 0.156 0.000 0.599
O1 0.026 0.355 0.713
O2 0.079 0.343 0.940
O3 0.091 0.126 0.635
O4 0.094 0.167 0.067
O5 0.148 0.000 0.490
O6 0.193 0.142 0.309
O7 0.201 0.500 0.356
O8 0.231 0.500 0.838
```

## Properties
- volume (Å³/cell) = 1520.5
- magnetization (μB per formula unit) = 0.00


No. 6
Here is a relaxed structure of Sn2P2O7 from the Materials Project database. Energies are from PBE-GGA.

Cell and atoms, written as CIF:
```
data_Sn2P2O7
_symmetry_space_group_name_H-M 'P 1 21/c 1'
_symmetry_Int_Tables_number 14
_symmetry_space_group_name_Hall '-P 2ybc'
_cell_length_a 7.654
_cell_length_b 9.544
_cell_length_c 9.754
_cell_angle_alpha 90.00
_cell_angle_beta 113.83
_cell_angle_gamma 90.00
loop_
_atom_site_label
_atom_site_fract_x
_atom_site_fract_y
_atom_site_fract_z
Sn1 0.236 0.051 0.111
Sn2 0.245 0.052 0.627
P1 0.104 0.748 0.302
P2 0.496 0.740 0.060
O1 0.082 0.244 0.169
O2 0.101 0.627 0.704
O3 0.146 0.605 0.253
O4 0.268 0.723 0.971
O5 0.412 0.247 0.553
O6 0.453 0.105 0.342
O7 0.472 0.123 0.848
```

## Properties
- volume (Å³/cell) = 651.8
- excess energy over the best structure of this formula in the dataset (meV per atom) = 34
- magnetization (μB per formula unit) = 0.00


No. 7
Here is a relaxed structure of SnP2O6 from the Materials Project database. Energies are from PBE-GGA.

Cell and atoms, written as CIF:
```
data_SnP2O6
_symmetry_space_group_name_H-M 'C 1 2/c 1'
_symmetry_Int_Tables_number 15
_symmetry_space_group_name_Hall '-C 2yc'
_cell_length_a 13.323
_cell_length_b 9.144
_cell_length_c 11.341
_cell_angle_alpha 90.00
_cell_angle_beta 122.06
_cell_angle_gamma 90.00
loop_
_atom_site_label
_atom_site_fract_x
_atom_site_fract_y
_atom_site_fract_z
Sn1 0.000 0.011 0.250
Sn2 0.250 0.250 0.500
P1 0.011 0.283 0.980
P2 0.184 0.495 0.189
O1 0.037 0.156 0.915
O2 0.037 0.254 0.429
O3 0.076 0.393 0.646
O4 0.131 0.378 0.063
O5 0.214 0.427 0.323
O6 0.218 0.071 0.317
```

## Properties
- volume (Å³/cell) = 1170.9
- excess energy over the best structure of this formula in the dataset (meV per atom) = 22
- magnetization (μB per formula unit) = 0.03


No. 8
Here is a relaxed structure of Sn2P2O7 from the Materials Project database. Energies are from PBE-GGA.

Cell and atoms, written as CIF:
```
data_Sn2P2O7
_symmetry_space_group_name_H-M 'C 1 2/c 1'
_symmetry_Int_Tables_number 15
_symmetry_space_group_name_Hall '-C 2yc'
_cell_length_a 21.018
_cell_length_b 10.771
_cell_length_c 9.444
_cell_angle_alpha 90.00
_cell_angle_beta 104.49
_cell_angle_gamma 90.00
loop_
_atom_site_label
_atom_site_fract_x
_atom_site_fract_y
_atom_site_fract_z
Sn1 0.003 0.171 0.009
Sn2 0.164 0.336 0.166
Sn3 0.174 0.328 0.699
P1 0.070 0.498 0.852
P2 0.096 0.008 0.317
P3 0.241 0.016 0.516
O1 0.000 0.452 0.750
O2 0.048 0.005 0.422
O3 0.066 0.375 0.414
O4 0.080 0.124 0.221
O5 0.089 0.387 0.956
O6 0.096 0.116 0.742
O7 0.118 0.497 0.746
O8 0.166 0.038 0.429
O9 0.218 0.491 0.602
O10 0.241 0.370 0.388
O11 0.247 0.110 0.095
```

## Properties
- volume (Å³/cell) = 2070.1
- excess energy over the best structure of this formula in the dataset (meV per atom) = 60
- magnetization (μB per formula unit) = 0.00


| no. | energy relative to the elements (eV per atom) |
| --- | --- |
| 1 | -2.8239 |
| 2 | -2.0227 |
| 3 | -2.3695 |
| 4 | -2.1459 |
| 5 | -1.9865 |
| 6 | -2.3356 |
| 7 | -2.4100 |
| 8 | -2.3096 |